# SrB2O4

An optimized crystal structure of SrB2O4 (PBE, Materials Project).

Lattice parameters (Å, degrees): 9.3177 9.3177 9.3177 90.00 90.00 90.00
Closest atoms and distances in Å follow each position.
Element x y z (fractional)
Sr 0.0000 0.0000 0.0000  12 O 2.76-3.00
Sr 0.0000 0.5000 0.5000  12 O 2.76-3.00
Sr 0.1295 0.6295 0.8705  9 O 2.56-2.64
Sr 0.1295 0.8705 0.3705  9 O 2.56-2.64
Sr 0.3705 0.1295 0.8705  9 O 2.56-2.64
Sr 0.3705 0.3705 0.3705  9 O 2.56-2.64
Sr 0.5000 0.0000 0.5000  12 O 2.76-3.00
Sr 0.5000 0.5000 0.0000  12 O 2.76-3.00
Sr 0.6295 0.6295 0.6295  9 O 2.56-2.64
Sr 0.6295 0.8705 0.1295  9 O 2.56-2.64
Sr 0.8705 0.1295 0.6295  9 O 2.56-2.64
Sr 0.8705 0.3705 0.1295  9 O 2.56-2.64
B 0.1129 0.1872 0.3380  4 O 1.48-1.51
B 0.1129 0.3128 0.8380  4 O 1.48-1.51
B 0.1620 0.6129 0.1872  4 O 1.48-1.51
B 0.1620 0.8871 0.6872  4 O 1.48-1.51
B 0.1872 0.1620 0.6129  4 O 1.48-1.51
B 0.1872 0.3380 0.1129  4 O 1.48-1.51
B 0.3128 0.6620 0.6129  4 O 1.48-1.51
B 0.3128 0.8380 0.1129  4 O 1.48-1.51
B 0.3380 0.1129 0.1872  4 O 1.48-1.51
B 0.3380 0.3871 0.6872  4 O 1.48-1.51
B 0.3871 0.6872 0.3380  4 O 1.48-1.51
B 0.3871 0.8128 0.8380  4 O 1.48-1.51
B 0.6129 0.1872 0.1620  4 O 1.48-1.51
B 0.6129 0.3128 0.6620  4 O 1.48-1.51
B 0.6620 0.6129 0.3128  4 O 1.48-1.51
B 0.6620 0.8871 0.8128  4 O 1.48-1.51
B 0.6872 0.1620 0.8871  4 O 1.48-1.51
B 0.6872 0.3380 0.3871  4 O 1.48-1.51
B 0.8128 0.6620 0.8871  4 O 1.48-1.51
B 0.8128 0.8380 0.3871  4 O 1.48-1.51
B 0.8380 0.1129 0.3128  4 O 1.48-1.51
B 0.8380 0.3871 0.8128  4 O 1.48-1.51
B 0.8871 0.6872 0.1620  4 O 1.48-1.51
B 0.8871 0.8128 0.6620  4 O 1.48-1.51
O 0.0046 0.5930 0.2186  2 B 1.50-1.51
O 0.0046 0.9070 0.7186  2 B 1.50-1.51
O 0.0930 0.2186 0.4954  2 B 1.50-1.51
O 0.0930 0.2814 0.9954  2 B 1.50-1.51
O 0.1151 0.1764 0.7569  2 B 1.48-1.51
O 0.1151 0.3236 0.2569  2 B 1.48-1.51
O 0.1764 0.7431 0.6151  2 B 1.48-1.51
O 0.1764 0.7569 0.1151  2 B 1.48-1.51
O 0.2186 0.0046 0.5930  2 B 1.50-1.51
O 0.2186 0.4954 0.0930  2 B 1.50-1.51
O 0.2431 0.6151 0.3236  2 B 1.48-1.51
O 0.2431 0.8849 0.8236  2 B 1.48-1.51
O 0.2569 0.1151 0.3236  2 B 1.48-1.51
O 0.2569 0.3849 0.8236  2 B 1.48-1.51
O 0.2814 0.5046 0.5930  2 B 1.50-1.51
O 0.2814 0.9954 0.0930  2 B 1.50-1.51
O 0.3236 0.2431 0.6151  2 B 1.48-1.51
O 0.3236 0.2569 0.1151  2 B 1.48-1.51
O 0.3849 0.6764 0.7569  2 B 1.48-1.51
O 0.3849 0.8236 0.2569  2 B 1.48-1.51
O 0.4070 0.7186 0.4954  2 B 1.50-1.51
O 0.4070 0.7814 0.9954  2 B 1.50-1.51
O 0.4954 0.0930 0.2186  2 B 1.50-1.51
O 0.4954 0.4070 0.7186  2 B 1.50-1.51
O 0.5046 0.5930 0.2814  2 B 1.50-1.51
O 0.5046 0.9070 0.7814  2 B 1.50-1.51
O 0.5930 0.2186 0.0046  2 B 1.50-1.51
O 0.5930 0.2814 0.5046  2 B 1.50-1.51
O 0.6151 0.1764 0.7431  2 B 1.48-1.51
O 0.6151 0.3236 0.2431  2 B 1.48-1.51
O 0.6764 0.7431 0.8849  2 B 1.48-1.51
O 0.6764 0.7569 0.3849  2 B 1.48-1.51
O 0.7186 0.0046 0.9070  2 B 1.50-1.51
O 0.7186 0.4954 0.4070  2 B 1.50-1.51
O 0.7431 0.6151 0.1764  2 B 1.48-1.51
O 0.7431 0.8849 0.6764  2 B 1.48-1.51
O 0.7569 0.1151 0.1764  2 B 1.48-1.51
O 0.7569 0.3849 0.6764  2 B 1.48-1.51
O 0.7814 0.5046 0.9070  2 B 1.50-1.51
O 0.7814 0.9954 0.4070  2 B 1.50-1.51
O 0.8236 0.2431 0.8849  2 B 1.48-1.51
O 0.8236 0.2569 0.3849  2 B 1.48-1.51
O 0.8849 0.6764 0.7431  2 B 1.48-1.51
O 0.8849 0.8236 0.2431  2 B 1.48-1.51
O 0.9070 0.7186 0.0046  2 B 1.50-1.51
O 0.9070 0.7814 0.5046  2 B 1.50-1.51
O 0.9954 0.0930 0.2814  2 B 1.50-1.51
O 0.9954 0.4070 0.7814  2 B 1.50-1.51

Properties
The energy relative to the lowest polymorph listed for this composition is 34 meV/atom. For the volume, the calculation gives 808.96 Å³/cell. The calculation puts the mass density at 4.3 g/cm³. For the total energy, the calculation gives -7.674 eV/atom. The value obtained for the calculated formation energy is -3.089 eV per atom. Its magnetic moment is 0.000 Bohr magnetons per cell.

---

# TiAl2O5

An optimized crystal structure of TiAl2O5 (PBE, Materials Project).

Lattice parameters (Å, degrees): 3.6599 9.6272 5.1020 90.00 110.96 90.00
Closest atoms and distances in Å follow each position.
Element x y z (fractional)
Ti 0.1259 0.0000 0.2548  4 O 1.84-1.92
Ti 0.8741 0.5000 0.7452  4 O 1.84-1.92
Al 0.1427 0.3693 0.2842  5 O 1.84-1.97
Al 0.1914 0.6925 0.3794  5 O 1.84-1.99
Al 0.8086 0.1925 0.6206  5 O 1.84-1.99
Al 0.8573 0.8693 0.7158  5 O 1.84-1.97
O 0.0440 0.8184 0.0881  2 Al 1.84, 1 Ti 1.92
O 0.0606 0.5503 0.1168  1 Ti 1.84, 2 Al 1.85-1.92
O 0.2451 0.1923 0.4923  3 Al 1.93-1.97
O 0.3075 0.8632 0.6156  3 Al 1.89-1.99
O 0.3179 0.5170 0.6334  2 Ti 1.91, 1 Al 2.08
O 0.6821 0.0170 0.3666  2 Ti 1.91, 1 Al 2.08
O 0.6925 0.3632 0.3844  3 Al 1.89-1.99
O 0.7549 0.6923 0.5077  3 Al 1.93-1.97
O 0.9394 0.0503 0.8832  1 Ti 1.84, 2 Al 1.85-1.92
O 0.9560 0.3184 0.9119  2 Al 1.84, 1 Ti 1.92

Properties
The energy relative to the lowest polymorph listed for this composition is 11 meV/atom. For the volume, the calculation gives 167.88 Å³/cell. The calculation puts the mass density at 3.6 g/cm³. For the total energy, the calculation gives -8.016 eV/atom. The value obtained for the calculated formation energy is -3.430 eV per atom. Its magnetic moment is 0.002 Bohr magnetons per cell.

---

# Sr4Bi6Se13

An optimized crystal structure of Sr4Bi6Se13 (PBE, Materials Project).

Lattice parameters (Å, degrees): 17.2720 4.2749 18.7328 90.00 90.42 90.00
Closest atoms and distances in Å follow each position.
Element x y z (fractional)
Sr 0.0116 0.2500 0.2537  6 Se 3.04-3.13
Sr 0.2571 0.7500 0.7710  8 Se 3.19-3.47
Sr 0.2708 0.2500 0.3200  8 Se 3.21-3.40
Sr 0.4868 0.2500 0.1597  5 Se 3.19-3.44
Sr 0.5132 0.7500 0.8403  5 Se 3.19-3.44
Sr 0.7292 0.7500 0.6800  8 Se 3.21-3.40
Sr 0.7429 0.2500 0.2290  8 Se 3.19-3.47
Sr 0.9884 0.7500 0.7463  6 Se 3.04-3.13
Bi 0.0832 0.2500 0.9218  5 Se 2.77-3.02
Bi 0.1065 0.2500 0.5188  6 Se 2.90-3.03
Bi 0.1732 0.7500 0.1199  3 Se 2.76-2.85
Bi 0.3129 0.7500 0.5444  6 Se 2.83-3.10
Bi 0.3294 0.2500 0.9779  4 Se 2.81-3.14
Bi 0.4898 0.7500 0.3803  3 Se 2.75-2.86
Bi 0.5102 0.2500 0.6197  3 Se 2.75-2.86
Bi 0.6706 0.7500 0.0221  4 Se 2.81-3.14
Bi 0.6871 0.2500 0.4556  6 Se 2.83-3.10
Bi 0.8268 0.2500 0.8801  3 Se 2.76-2.85
Bi 0.8935 0.7500 0.4812  6 Se 2.90-3.03
Bi 0.9168 0.7500 0.0782  5 Se 2.77-3.02
Se 0.0212 0.7500 0.5871  3 Bi 2.90-2.96, 1 Sr 3.04
Se 0.0402 0.2500 0.0899  5 Bi 3.02-3.24, 1 Sr 3.11
Se 0.1165 0.2500 0.7773  1 Bi 2.77
Se 0.1424 0.7500 0.2641  1 Bi 2.76
Se 0.1953 0.7500 0.4387  3 Bi 2.83-3.03
Se 0.1984 0.7500 0.9443  4 Bi 2.95-3.17
Se 0.2353 0.2500 0.6260  3 Bi 2.95-2.99
Se 0.2802 0.2500 0.1388  3 Bi 2.85-3.14
Se 0.3762 0.2500 0.8348  1 Bi 2.81
Se 0.3945 0.2500 0.4607  4 Bi 3.01-3.10
Se 0.3942 0.7500 0.2625  1 Bi 2.75
Se 0.4201 0.7500 0.6776  3 Bi 2.86-3.10
Se 0.4304 0.7500 0.0146  2 Bi 2.84
Se 0.5696 0.2500 0.9854  2 Bi 2.84
Se 0.5799 0.2500 0.3224  3 Bi 2.86-3.10
Se 0.6058 0.2500 0.7375  1 Bi 2.75
Se 0.6055 0.7500 0.5393  4 Bi 3.01-3.10
Se 0.6238 0.7500 0.1652  1 Bi 2.81
Se 0.7198 0.7500 0.8612  3 Bi 2.85-3.14
Se 0.7647 0.7500 0.3740  3 Bi 2.95-2.99
Se 0.8016 0.2500 0.0557  4 Bi 2.95-3.17
Se 0.8047 0.2500 0.5613  3 Bi 2.83-3.03
Se 0.8576 0.2500 0.7359  1 Bi 2.76
Se 0.8835 0.7500 0.2227  1 Bi 2.77
Se 0.9598 0.7500 0.9101  5 Bi 3.02-3.24, 1 Sr 3.11
Se 0.9788 0.2500 0.4129  3 Bi 2.90-2.96, 1 Sr 3.04

Properties
For the volume, the calculation gives 1383.14 Å³/cell. The calculation puts the mass density at 6.3 g/cm³. For the total energy, the calculation gives -4.248 eV/atom. The value obtained for the calculated formation energy is -1.231 eV per atom. Its magnetic moment is 0.012 Bohr magnetons per cell.

---

# Tb2ReB6

An optimized crystal structure of Tb2ReB6 (PBE, Materials Project).

Lattice parameters (Å, degrees): 9.2146 11.6053 3.6959 90.00 90.00 90.00
Closest atoms and distances in Å follow each position.
Element x y z (fractional)
Tb 0.0557 0.1299 0.0000  12 B 2.61-2.65, 2 Re 2.85-2.87
Tb 0.1752 0.4135 0.0000  14 B 2.76-2.83, 1 Re 3.09
Tb 0.3248 0.9135 0.0000  14 B 2.76-2.83, 1 Re 3.09
Tb 0.4443 0.6299 0.0000  12 B 2.61-2.65, 2 Re 2.85-2.87
Tb 0.5557 0.3701 0.0000  12 B 2.61-2.65, 2 Re 2.85-2.87
Tb 0.6752 0.0865 0.0000  14 B 2.76-2.83, 1 Re 3.09
Tb 0.8248 0.5865 0.0000  14 B 2.76-2.83, 1 Re 3.09
Tb 0.9443 0.8701 0.0000  12 B 2.61-2.65, 2 Re 2.85-2.87
Re 0.1389 0.6788 0.0000  10 B 2.36-2.42
Re 0.3611 0.1788 0.0000  10 B 2.36-2.42
Re 0.6389 0.8212 0.0000  10 B 2.36-2.42
Re 0.8611 0.3212 0.0000  10 B 2.36-2.42
B 0.0156 0.2880 0.5000  3 B 1.80-1.87
B 0.0538 0.5672 0.5000  3 B 1.80-1.85
B 0.1032 0.9710 0.5000  3 B 1.85-2.02
B 0.1328 0.8131 0.5000  3 B 1.74-1.85
B 0.2071 0.2334 0.5000  3 B 1.74-1.87
B 0.2493 0.5806 0.5000  3 B 1.81-1.86
B 0.2507 0.0806 0.5000  3 B 1.81-1.86
B 0.2929 0.7334 0.5000  3 B 1.74-1.87
B 0.3672 0.3131 0.5000  3 B 1.74-1.85
B 0.3968 0.4710 0.5000  3 B 1.85-2.02
B 0.4462 0.0672 0.5000  3 B 1.80-1.85
B 0.4844 0.7880 0.5000  3 B 1.80-1.87
B 0.5156 0.2120 0.5000  3 B 1.80-1.87
B 0.5538 0.9328 0.5000  3 B 1.80-1.85
B 0.6032 0.5290 0.5000  3 B 1.85-2.02
B 0.6328 0.6869 0.5000  3 B 1.74-1.85
B 0.7071 0.2666 0.5000  3 B 1.74-1.87
B 0.7493 0.9194 0.5000  3 B 1.81-1.86
B 0.7507 0.4194 0.5000  3 B 1.81-1.86
B 0.7929 0.7666 0.5000  3 B 1.74-1.87
B 0.8672 0.1869 0.5000  3 B 1.74-1.85
B 0.8968 0.0290 0.5000  3 B 1.85-2.02
B 0.9462 0.4328 0.5000  3 B 1.80-1.85
B 0.9844 0.7120 0.5000  3 B 1.80-1.87

Properties
For the volume, the calculation gives 395.23 Å³/cell. The calculation puts the mass density at 9.6 g/cm³. For the total energy, the calculation gives -7.472 eV/atom. The value obtained for the calculated formation energy is -0.606 eV per atom.

---

Among the records above, which one has the lowest calculated formation energy?
TiAl2O5

---

Among the records above, which one has the lowest mass density?
TiAl2O5

---

What is the calculated formation energy in the second record?
-3.430 eV per atom